#A
Material: V2OF5
Method: DFT, r2SCAN
State: optimized geometry

Properties
Its space group is No. 144. As for the crystal system: trigonal.

a = 5.090 Å, b = 5.090 Å, c = 13.250 Å
α = 90.00°, β = 90.00°, γ = 120.00°
Atoms (fractional coordinates):
1 V 0.007 0.694 0.000
2 V 0.306 0.313 0.333
3 V 0.327 0.318 0.842
4 V 0.682 0.009 0.175
5 V 0.687 0.993 0.667
6 V 0.991 0.673 0.509
7 O 0.017 0.098 0.255
8 O 0.081 0.983 0.922
9 O 0.902 0.919 0.588
10 F 0.007 0.282 0.756
11 F 0.066 0.389 0.428
12 F 0.275 0.993 0.422
13 F 0.280 0.595 0.927
14 F 0.315 0.720 0.594
15 F 0.323 0.934 0.095
16 F 0.405 0.071 0.752
17 F 0.405 0.685 0.261
18 F 0.611 0.677 0.762
19 F 0.616 0.285 0.256
20 F 0.666 0.595 0.418
21 F 0.668 0.384 0.923
22 F 0.715 0.332 0.589
23 F 0.718 0.725 0.089
24 F 0.929 0.334 0.085

#B
Material: V2OF5
Method: DFT, r2SCAN
State: optimized geometry

Properties
Its space group is No. 1. As for the crystal system: triclinic.

a = 5.090 Å, b = 5.311 Å, c = 11.320 Å
α = 99.38°, β = 102.86°, γ = 90.03°
Atoms (fractional coordinates):
1 V 0.000 0.000 0.000
2 V 0.131 0.163 0.326
3 V 0.304 0.322 0.644
4 V 0.479 0.482 0.962
5 V 0.631 0.653 0.307
6 V 0.806 0.825 0.650
7 O 0.129 0.237 0.476
8 O 0.151 0.073 0.146
9 O 0.480 0.410 0.814
10 F 0.005 0.527 0.679
11 F 0.141 0.031 0.683
12 F 0.143 0.284 0.943
13 F 0.269 0.788 0.943
14 F 0.339 0.858 0.346
15 F 0.448 0.568 0.137
16 F 0.467 0.357 0.345
17 F 0.469 0.616 0.609
18 F 0.602 0.116 0.612
19 F 0.680 0.193 0.014
20 F 0.795 0.908 0.818
21 F 0.802 0.951 0.273
22 F 0.807 0.694 0.015
23 F 0.828 0.743 0.479
24 F 0.928 0.448 0.272

Verdict on stability: #B comes out at the bottom.

#A
Material: V3O4F2
Method: DFT, r2SCAN
State: optimized geometry

Properties
Its space group is No. 14. As for the crystal system: monoclinic.

a = 4.615 Å, b = 4.611 Å, c = 9.911 Å
α = 90.00°, β = 116.43°, γ = 90.00°
Atoms (fractional coordinates):
1 V 0.000 0.000 0.000
2 V 0.000 0.500 0.500
3 V 0.387 0.012 0.346
4 V 0.387 0.488 0.846
5 V 0.613 0.512 0.154
6 V 0.613 0.988 0.654
7 O 0.291 0.200 0.499
8 O 0.291 0.300 0.999
9 O 0.364 0.688 0.670
10 O 0.364 0.812 0.170
11 O 0.636 0.188 0.830
12 O 0.636 0.312 0.330
13 O 0.709 0.700 0.001
14 O 0.709 0.800 0.501
15 F 0.031 0.710 0.329
16 F 0.031 0.790 0.829
17 F 0.969 0.210 0.171
18 F 0.969 0.290 0.671

#B
Material: V3O4F2
Method: DFT, r2SCAN
State: optimized geometry

Properties
Its space group is No. 14. As for the crystal system: monoclinic.

a = 7.462 Å, b = 4.610 Å, c = 5.514 Å
α = 90.00°, β = 94.90°, γ = 90.00°
Atoms (fractional coordinates):
1 V 0.000 0.000 0.000
2 V 0.000 0.500 0.500
3 V 0.342 0.039 0.350
4 V 0.342 0.461 0.850
5 V 0.658 0.539 0.150
6 V 0.658 0.961 0.650
7 O 0.106 0.192 0.303
8 O 0.106 0.308 0.803
9 O 0.438 0.204 0.640
10 O 0.438 0.296 0.140
11 O 0.562 0.704 0.860
12 O 0.562 0.796 0.360
13 O 0.894 0.692 0.197
14 O 0.894 0.808 0.697
15 F 0.241 0.705 0.546
16 F 0.241 0.795 0.046
17 F 0.759 0.205 0.954
18 F 0.759 0.295 0.454

#C
Material: V3O4F2
Method: DFT, r2SCAN
State: optimized geometry

Properties
Its space group is No. 4. As for the crystal system: monoclinic.

a = 5.468 Å, b = 4.601 Å, c = 7.518 Å
α = 90.00°, β = 94.91°, γ = 90.00°
Atoms (fractional coordinates):
1 V 0.066 0.000 0.345
2 V 0.273 0.535 0.009
3 V 0.409 0.039 0.690
4 V 0.591 0.539 0.310
5 V 0.727 0.035 0.991
6 V 0.934 0.500 0.655
7 O 0.119 0.831 0.575
8 O 0.217 0.330 0.779
9 O 0.281 0.728 0.239
10 O 0.447 0.822 0.903
11 O 0.553 0.322 0.097
12 O 0.719 0.228 0.761
13 O 0.783 0.830 0.221
14 O 0.881 0.331 0.425
15 F 0.049 0.221 0.100
16 F 0.383 0.228 0.440
17 F 0.617 0.728 0.560
18 F 0.951 0.721 0.900

Verdict on stability: #B comes out at the bottom.